Record 1
{"formula": "In2Co3S2", "functional": "PBE", "state": "optimized geometry", "crystal_system": "trigonal", "formation_energy_mev_per_atom": -463, "cell": [[4.8011, -2.6666, 0.0000], [4.8011, 2.6666, 0.0000], [3.3201, 0.0000, 4.3748]], "species": ["In", "In", "S", "S", "Co", "Co", "Co"], "frac_coords": [[0.5000, 0.5000, 0.5000], [0.0000, 0.0000, 0.0000], [0.7229, 0.7229, 0.7229], [0.2771, 0.2771, 0.2771], [0.0000, 0.5000, 0.0000], [0.5000, 0.0000, 0.0000], [0.0000, 0.0000, 0.5000]]}



Record 2
{"formula": "In2CoS4", "functional": "PBE", "state": "optimized geometry", "crystal_system": "cubic", "formation_energy_mev_per_atom": -682, "cell": [[0.7502, 1.1012, 7.3832], [-5.1996, -2.6208, 4.7310], [1.6032, -5.7768, 4.5105]], "species": ["S", "S", "S", "S", "S", "S", "S", "S", "In", "In", "In", "In", "Co", "Co"], "frac_coords": [[0.8757, 0.3730, 0.8757], [0.8770, 0.3743, 0.3743], [0.3730, 0.8757, 0.8757], [0.3743, 0.3743, 0.3743], [0.3743, 0.3743, 0.8770], [0.8757, 0.8757, 0.3730], [0.3743, 0.8770, 0.3743], [0.8757, 0.8757, 0.8757], [0.1250, 0.6250, 0.1250], [0.1250, 0.1250, 0.1250], [0.6250, 0.1250, 0.1250], [0.1250, 0.1250, 0.6250], [0.5000, 0.5000, 0.5000], [0.7500, 0.7500, 0.7500]]}



Record 3
{"formula": "In2CoSe4", "functional": "PBE", "state": "optimized geometry", "crystal_system": "cubic", "formation_energy_mev_per_atom": -564, "cell": [[0.0000, 5.5241, 5.5241], [5.5241, 0.0000, 5.5241], [5.5241, 5.5241, 0.0000]], "species": ["Se", "Se", "Se", "Se", "Se", "Se", "Se", "Se", "In", "In", "In", "In", "Co", "Co"], "frac_coords": [[0.8791, 0.8791, 0.3628], [0.3709, 0.3709, 0.8872], [0.3709, 0.8872, 0.3709], [0.3628, 0.8791, 0.8791], [0.8791, 0.8791, 0.8791], [0.3709, 0.3709, 0.3709], [0.8791, 0.3628, 0.8791], [0.8872, 0.3709, 0.3709], [0.1250, 0.6250, 0.6250], [0.6250, 0.1250, 0.6250], [0.6250, 0.6250, 0.6250], [0.6250, 0.6250, 0.1250], [0.2500, 0.2500, 0.2500], [0.0000, 0.0000, 0.0000]]}



Record 4
{"formula": "Sm12InCo6", "functional": "PBE", "state": "optimized geometry", "crystal_system": "cubic", "formation_energy_mev_per_atom": -177, "cell": [[7.9347, -2.6980, 1.7188], [-5.5986, -4.4032, 4.7392], [-1.6962, -1.2300, -8.2947]], "species": ["Sm", "Sm", "Sm", "Sm", "Sm", "Sm", "Sm", "Sm", "Sm", "Sm", "Sm", "Sm", "Co", "Co", "Co", "Co", "Co", "Co", "In"], "frac_coords": [[0.8079, 0.3050, 0.1129], [0.1921, 0.6950, 0.8871], [0.6950, 0.8871, 0.1921], [0.3050, 0.4970, 0.1921], [0.3050, 0.1129, 0.8079], [0.8871, 0.1921, 0.6950], [0.6950, 0.5030, 0.8079], [0.8079, 0.6950, 0.5030], [0.1129, 0.8079, 0.3050], [0.5030, 0.8079, 0.6950], [0.1921, 0.3050, 0.4970], [0.4970, 0.1921, 0.3050], [0.1117, 0.6117, 0.5000], [0.5000, 0.8883, 0.3883], [0.6117, 0.5000, 0.1117], [0.5000, 0.1117, 0.6117], [0.3883, 0.5000, 0.8883], [0.8883, 0.3883, 0.5000], [0.0000, 0.0000, 0.0000]]}



Record 5
{"formula": "Sm6InCo2", "functional": "PBE", "state": "optimized geometry", "crystal_system": "orthorhombic", "formation_energy_mev_per_atom": -203, "cell": [[-4.7550, 4.9734, 5.0742], [4.7550, -4.9734, 5.0742], [4.7550, 4.9734, -5.0742]], "species": ["Co", "Co", "Co", "Co", "In", "In", "Sm", "Sm", "Sm", "Sm", "Sm", "Sm", "Sm", "Sm", "Sm", "Sm", "Sm", "Sm"], "frac_coords": [[0.8900, 0.8900, 0.0000], [0.3537, 0.5000, 0.8537], [0.6463, 0.5000, 0.1463], [0.1100, 0.1100, 0.0000], [0.5000, 0.0000, 0.5000], [0.0000, 0.5000, 0.5000], [0.3209, 0.1325, 0.8117], [0.6791, 0.8675, 0.1883], [0.8154, 0.2128, 0.0282], [0.4399, 0.7321, 0.7078], [0.1846, 0.7872, 0.9718], [0.5601, 0.2679, 0.2922], [0.0242, 0.7321, 0.2922], [0.9758, 0.2679, 0.7078], [0.8154, 0.7872, 0.6026], [0.3209, 0.5092, 0.1883], [0.1846, 0.2128, 0.3974], [0.6791, 0.4908, 0.8117]]}



Record 6
{"formula": "Ti2InCo", "functional": "PBE", "state": "optimized geometry", "crystal_system": "cubic", "formation_energy_mev_per_atom": -61, "cell": [[-0.8667, -2.8362, 3.3768], [-3.4785, -2.8318, -0.2806], [0.7246, -4.4045, -0.5227]], "species": ["Ti", "Ti", "Co", "In"], "frac_coords": [[0.2500, 0.2500, 0.2500], [0.0000, 0.0000, 0.0000], [0.5000, 0.5000, 0.5000], [0.7500, 0.7500, 0.7500]]}



Record 7
{"formula": "TmIn5Co", "functional": "PBE", "state": "optimized geometry", "crystal_system": "tetragonal", "formation_energy_mev_per_atom": -202, "cell": [[4.5596, 0.0000, 0.0000], [0.0000, 4.5596, 0.0000], [0.0000, 0.0000, 7.5099]], "species": ["Tm", "In", "In", "In", "In", "In", "Co"], "frac_coords": [[0.0000, 0.0000, 0.0000], [0.5000, 0.5000, 0.0000], [0.0000, 0.5000, 0.3058], [0.0000, 0.5000, 0.6942], [0.5000, 0.0000, 0.6942], [0.5000, 0.0000, 0.3058], [0.0000, 0.0000, 0.5000]]}



Record 8
{"formula": "Tm3In4Co2", "functional": "PBE", "state": "optimized geometry", "crystal_system": "hexagonal", "formation_energy_mev_per_atom": -373, "cell": [[1.7181, 6.5260, -4.1518], [-6.1807, -4.5025, -2.0746], [-2.0954, 1.8999, 2.1192]], "species": ["Co", "Co", "Tm", "Tm", "Tm", "In", "In", "In", "In"], "frac_coords": [[0.3333, 0.6667, 0.5000], [0.0000, 0.0000, 0.0000], [0.7516, 0.0422, 0.5000], [0.2906, 0.2484, 0.5000], [0.9578, 0.7094, 0.5000], [0.3368, 0.9254, 0.0000], [0.6667, 0.3333, 0.0000], [0.0746, 0.4113, 0.0000], [0.5887, 0.6632, 0.0000]]}



Record 9
{"formula": "Tm2In8Co", "functional": "PBE", "state": "optimized geometry", "crystal_system": "tetragonal", "formation_energy_mev_per_atom": -257, "cell": [[-2.6620, 1.7196, 3.3173], [-3.7092, -1.7077, -2.0913], [1.1980, -10.3494, 6.3261]], "species": ["Co", "In", "In", "In", "In", "In", "In", "In", "In", "Tm", "Tm"], "frac_coords": [[0.5000, 0.5000, 0.0000], [0.0000, 0.0000, 0.6961], [0.5000, 0.0000, 0.8802], [0.0000, 0.5000, 0.8802], [0.5000, 0.0000, 0.5000], [0.0000, 0.5000, 0.5000], [0.5000, 0.0000, 0.1198], [0.0000, 0.0000, 0.3039], [0.0000, 0.5000, 0.1198], [0.5000, 0.5000, 0.6925], [0.5000, 0.5000, 0.3075]]}



Record 10
{"formula": "Tm8In3Co", "functional": "PBE", "state": "optimized geometry", "crystal_system": "hexagonal", "formation_energy_mev_per_atom": -351, "cell": [[6.6254, 1.3453, 7.7029], [-8.9814, 4.9369, 0.0446], [-2.8827, -5.2751, 3.4008]], "species": ["Tm", "Tm", "Tm", "Tm", "Tm", "Tm", "Tm", "Tm", "Tm", "Tm", "Tm", "Tm", "Tm", "Tm", "Tm", "Tm", "In", "In", "In", "In", "In", "In", "Co", "Co"], "frac_coords": [[0.3570, 0.1785, 0.2220], [0.1785, 0.3570, 0.7220], [0.0677, 0.5338, 0.0132], [0.0000, 0.0000, 0.5008], [0.1785, 0.8215, 0.7220], [0.6667, 0.3333, 0.9023], [0.5338, 0.4662, 0.5132], [0.9323, 0.4662, 0.5132], [0.3333, 0.6667, 0.4023], [0.6430, 0.8215, 0.7220], [0.8215, 0.6430, 0.2220], [0.5338, 0.0677, 0.5132], [0.8215, 0.1785, 0.2220], [0.4662, 0.5338, 0.0132], [0.0000, 0.0000, 0.0008], [0.4662, 0.9323, 0.0132], [0.8369, 0.6739, 0.7603], [0.3261, 0.1631, 0.7603], [0.1631, 0.8369, 0.2603], [0.6739, 0.8369, 0.2603], [0.8369, 0.1631, 0.7603], [0.1631, 0.3261, 0.2603], [0.3333, 0.6667, 0.7894], [0.6667, 0.3333, 0.2894]]}



Record 11
{"formula": "YIn5Co", "functional": "PBE", "state": "optimized geometry", "crystal_system": "tetragonal", "formation_energy_mev_per_atom": -226, "cell": [[4.5178, 0.0000, 0.0000], [0.0000, 4.5178, 0.0000], [0.0000, 0.0000, 7.4052]], "species": ["Y", "In", "In", "In", "In", "In", "Co"], "frac_coords": [[0.0000, 0.0000, 0.0000], [0.5000, 0.0000, 0.3067], [0.5000, 0.0000, 0.6933], [0.0000, 0.5000, 0.6933], [0.0000, 0.5000, 0.3067], [0.5000, 0.5000, 0.0000], [0.0000, 0.0000, 0.5000]]}



Record 12
{"formula": "Y8In3Co", "functional": "PBE", "state": "optimized geometry", "crystal_system": "hexagonal", "formation_energy_mev_per_atom": -367, "cell": [[5.1892, -8.9880, 0.0000], [5.1892, 8.9880, 0.0000], [0.0000, 0.0000, 7.0583]], "species": ["Y", "Y", "Y", "Y", "Y", "Y", "Y", "Y", "Y", "Y", "Y", "Y", "Y", "Y", "Y", "Y", "Co", "Co", "In", "In", "In", "In", "In", "In"], "frac_coords": [[0.8224, 0.6448, 0.2755], [0.5357, 0.4643, 0.9823], [0.8224, 0.1776, 0.2755], [0.0000, 0.0000, 0.9974], [0.9286, 0.4643, 0.9823], [0.3552, 0.1776, 0.2755], [0.0714, 0.5357, 0.4823], [0.5357, 0.0714, 0.9823], [0.3333, 0.6667, 0.0907], [0.0000, 0.0000, 0.4974], [0.4643, 0.5357, 0.4823], [0.6448, 0.8224, 0.7755], [0.6667, 0.3333, 0.5907], [0.1776, 0.3552, 0.7755], [0.4643, 0.9286, 0.4823], [0.1776, 0.8224, 0.7755], [0.6667, 0.3333, 0.2080], [0.3333, 0.6667, 0.7080], [0.8365, 0.6730, 0.7342], [0.6730, 0.8365, 0.2342], [0.3270, 0.1635, 0.7342], [0.1635, 0.3270, 0.2342], [0.1635, 0.8365, 0.2342], [0.8365, 0.1635, 0.7342]]}



Record 13
{"formula": "YInCo2", "functional": "PBE", "state": "optimized geometry", "crystal_system": "orthorhombic", "formation_energy_mev_per_atom": -247, "cell": [[4.0030, 0.0000, 0.0000], [0.0000, 4.9891, 0.0000], [0.0000, 0.0000, 7.1213]], "species": ["Y", "Y", "In", "In", "Co", "Co", "Co", "Co"], "frac_coords": [[0.5000, 0.2500, 0.2808], [0.5000, 0.7500, 0.7192], [0.0000, 0.7500, 0.3486], [0.0000, 0.2500, 0.6514], [0.0000, 0.5000, 0.0000], [0.5000, 0.2500, 0.9081], [0.0000, 0.0000, 0.0000], [0.5000, 0.7500, 0.0919]]}



Record 14
{"formula": "Y6InCo2", "functional": "PBE", "state": "optimized geometry", "crystal_system": "orthorhombic", "formation_energy_mev_per_atom": -268, "cell": [[-4.7568, 4.8459, 5.0241], [4.7568, -4.8459, 5.0241], [4.7568, 4.8459, -5.0241]], "species": ["Y", "Y", "Y", "Y", "Y", "Y", "Y", "Y", "Y", "Y", "Y", "Y", "Co", "Co", "Co", "Co", "In", "In"], "frac_coords": [[0.0236, 0.2325, 0.7911], [0.3169, 0.0113, 0.6944], [0.8145, 0.7131, 0.5276], [0.9764, 0.7675, 0.2089], [0.4414, 0.2325, 0.2089], [0.8145, 0.2869, 0.1014], [0.1855, 0.2869, 0.4724], [0.6831, 0.9887, 0.3056], [0.1855, 0.7131, 0.8986], [0.3169, 0.6225, 0.3056], [0.5586, 0.7675, 0.7911], [0.6831, 0.3775, 0.6944], [0.3753, 0.0000, 0.3753], [0.1109, 0.6109, 0.5000], [0.8891, 0.3891, 0.5000], [0.6247, 0.0000, 0.6247], [0.5000, 0.5000, 0.0000], [0.0000, 0.0000, 0.0000]]}



Record 15
{"formula": "Zr2InCo2", "functional": "PBE", "state": "optimized geometry", "crystal_system": "tetragonal", "formation_energy_mev_per_atom": -344, "cell": [[7.2230, 0.0000, 0.0000], [0.0000, 7.2230, 0.0000], [0.0000, 0.0000, 3.3024]], "species": ["Co", "Co", "Co", "Co", "Zr", "Zr", "Zr", "Zr", "In", "In"], "frac_coords": [[0.6261, 0.8739, 0.0000], [0.1261, 0.6261, 0.0000], [0.8739, 0.3739, 0.0000], [0.3739, 0.1261, 0.0000], [0.6688, 0.1688, 0.5000], [0.3312, 0.8312, 0.5000], [0.1688, 0.3312, 0.5000], [0.8312, 0.6688, 0.5000], [0.0000, 0.0000, 0.0000], [0.5000, 0.5000, 0.0000]]}



Record 16
{"formula": "Co3Ir", "functional": "PBE", "state": "optimized geometry", "crystal_system": "cubic", "formation_energy_mev_per_atom": 51, "cell": [[3.5826, 0.0000, 0.0000], [0.0000, 3.5826, 0.0000], [0.0000, 0.0000, 3.5826]], "species": ["Co", "Co", "Co", "Ir"], "frac_coords": [[0.0000, 0.5000, 0.5000], [0.5000, 0.0000, 0.5000], [0.5000, 0.5000, 0.0000], [0.0000, 0.0000, 0.0000]]}



Record 17
{"formula": "CoIr", "functional": "PBE", "state": "optimized geometry", "crystal_system": "trigonal", "formation_energy_mev_per_atom": 43, "cell": [[-3.9429, -1.0458, -1.7446], [-2.1075, -2.4449, -3.0437], [-2.9470, -3.2492, -0.6641]], "species": ["Ir", "Co"], "frac_coords": [[0.5000, 0.5000, 0.5000], [0.0000, 0.0000, 0.0000]]}



Record 18
{"formula": "Co3Ir", "functional": "PBE", "state": "optimized geometry", "crystal_system": "hexagonal", "formation_energy_mev_per_atom": 45, "cell": [[-0.7945, -0.3900, 2.4662], [-0.8529, -1.5716, -1.9153], [6.3470, -4.9773, 1.2575]], "species": ["Ir", "Co", "Co", "Co"], "frac_coords": [[0.3333, 0.6667, 0.5000], [0.3333, 0.6667, 0.0000], [0.0000, 0.0000, 0.2392], [0.0000, 0.0000, 0.7608]]}



Record 19
{"formula": "CoIr", "functional": "PBE", "state": "optimized geometry", "crystal_system": "hexagonal", "formation_energy_mev_per_atom": 24, "cell": [[1.2354, 2.3467, 0.3472], [-1.7597, -0.8669, 1.8182], [3.0247, -1.8919, 2.0254]], "species": ["Co", "Ir"], "frac_coords": [[0.3333, 0.6667, 0.0000], [0.0000, 0.0000, 0.5000]]}



Record 20
{"formula": "Mn4CoSb4Ir3", "functional": "PBE", "state": "optimized geometry", "crystal_system": "trigonal", "formation_energy_mev_per_atom": -170, "cell": [[0.8423, -2.3046, -3.5042], [-2.6986, -1.5103, 2.9557], [-10.9606, 4.0742, -7.9254]], "species": ["Sb", "Sb", "Sb", "Sb", "Mn", "Mn", "Mn", "Mn", "Co", "Ir", "Ir", "Ir"], "frac_coords": [[0.5072, 0.2536, 0.2392], [0.9912, 0.9956, 0.0132], [0.4987, 0.7494, 0.7519], [0.0027, 0.5014, 0.4959], [0.7480, 0.3740, 0.8781], [0.2526, 0.1263, 0.6212], [0.7561, 0.8781, 0.3658], [0.2451, 0.6225, 0.1324], [0.8704, 0.9352, 0.1944], [0.3723, 0.6862, 0.9415], [0.3804, 0.1902, 0.4293], [0.8754, 0.4377, 0.6870]]}